(1)
NaFeBP2H3O10 | the Materials Project | PBE+U | optimized geometry; ΔH_f (0 K) = -2.250 eV per atom; total magnetization = 0.278 μB/atom; calculated density = 2.86 g/cm3; crystal system = monoclinic; calculated volume = 364.9 Å³/cell
1.0
-5.620 1.099 3.493
-4.856 -1.541 -4.364
-3.957 -8.065 2.326
H Fe O B P Na
6 2 20 2 4 2
Direct
0.500 0.000 0.000
0.690 0.340 0.423
0.310 0.660 0.577
0.000 0.500 0.500
0.340 0.690 0.923
0.660 0.310 0.077
0.000 0.500 0.000
0.500 0.000 0.500
0.470 0.308 0.751
0.726 0.929 0.609
0.929 0.726 0.109
0.071 0.274 0.891
0.363 0.964 0.958
0.692 0.530 0.749
0.308 0.470 0.251
0.964 0.363 0.458
0.075 0.275 0.193
0.315 0.567 0.899
0.725 0.925 0.307
0.567 0.315 0.399
0.275 0.075 0.693
0.036 0.637 0.542
0.637 0.036 0.042
0.274 0.071 0.391
0.925 0.725 0.807
0.685 0.433 0.101
0.433 0.685 0.601
0.530 0.692 0.249
0.527 0.473 0.250
0.473 0.527 0.750
0.708 0.846 0.176
0.846 0.708 0.676
0.154 0.292 0.324
0.292 0.154 0.824
0.132 0.868 0.250
0.868 0.132 0.750


(2)
Li3Ni2SnO6 | the Materials Project | PBE+U | optimized geometry; ΔH_f (0 K) = -1.785 eV per atom; total magnetization = 0.083 μB/atom; calculated density = 5.03 g/cm3; crystal system = triclinic; calculated volume = 232.8 Å³/cell
1.0
0.004 -3.161 5.166
-3.483 -5.781 0.020
6.053 -2.908 -0.010
O Li Ni Sn
12 6 4 2
Direct
0.619 0.898 0.670
0.350 0.768 0.999
0.652 0.222 0.007
0.150 0.898 0.668
0.868 0.094 0.342
0.367 0.097 0.338
0.120 0.228 0.009
0.380 0.439 0.658
0.881 0.769 0.997
0.632 0.573 0.324
0.133 0.569 0.329
0.848 0.444 0.660
0.250 0.833 0.334
0.261 0.139 0.683
0.744 0.168 0.686
0.756 0.499 0.981
0.750 0.834 0.334
0.239 0.528 0.984
0.492 0.678 0.672
0.508 0.985 0.992
0.993 0.682 0.675
0.008 0.989 0.995
0.502 0.333 0.333
0.999 0.334 0.334


(3)
V3OF11 | the Materials Project | PBE+U | optimized geometry; ΔH_f (0 K) = -2.867 eV per atom; total magnetization = 0.001 μB/atom; calculated density = 3.00 g/cm3; crystal system = triclinic; calculated volume = 418.3 Å³/cell
1.0
5.270 0.000 0.000
-0.009 5.454 0.000
-0.002 -2.640 14.552
V O F
6 2 22
Direct
0.991 0.000 0.006
0.008 0.655 0.334
0.496 0.498 0.999
0.525 0.126 0.330
0.500 0.834 0.667
0.000 0.333 0.667
0.918 0.045 0.114
0.705 0.875 0.311
0.912 0.716 0.451
0.699 0.524 0.642
0.913 0.377 0.784
0.573 0.227 0.449
0.293 0.472 0.357
0.202 0.303 0.024
0.797 0.698 0.974
0.293 0.804 0.024
0.418 0.457 0.881
0.408 0.135 0.218
0.588 0.542 0.116
0.789 0.357 0.309
0.301 0.144 0.692
0.084 0.291 0.549
0.076 0.629 0.216
0.708 0.194 0.974
0.199 0.643 0.691
0.801 0.024 0.642
0.587 0.875 0.784
0.090 0.958 0.885
0.214 0.970 0.357
0.414 0.794 0.550


(4)
K2CoH2S2O10 | the Materials Project | PBE+U | optimized geometry; ΔH_f (0 K) = -1.756 eV per atom; total magnetization = 0.176 μB/atom; calculated density = 2.58 g/cm3; crystal system = triclinic; calculated volume = 234.2 Å³/cell
1.0
5.245 0.089 -0.536
-1.936 5.940 -2.168
-0.065 0.191 7.407
O H S K Co
10 2 2 2 1
Direct
0.632 0.135 0.328
0.855 0.254 0.087
0.368 0.865 0.672
0.740 0.522 0.341
0.974 0.030 0.769
0.389 0.244 0.086
0.611 0.756 0.914
0.026 0.970 0.231
0.145 0.746 0.913
0.260 0.478 0.659
0.898 0.039 0.298
0.102 0.961 0.702
0.647 0.289 0.217
0.353 0.711 0.783
0.297 0.677 0.273
0.703 0.323 0.727
0.000 0.000 0.000


(5)
Li4NbFe3O8 | the Materials Project | PBE+U | optimized geometry; ΔH_f (0 K) = -2.159 eV per atom; total magnetization = 0.813 μB/atom; calculated density = 3.53 g/cm3; largest piezoelectric modulus = 1.1 C/m2; crystal system = triclinic; calculated volume = 196.1 Å³/cell
1.0
-4.202 2.972 -0.413
-2.319 -3.759 -3.684
-2.834 -3.275 4.985
Li Fe O Nb
4 3 8 1
Direct
0.003 0.563 0.125
0.506 0.426 0.867
0.506 0.906 0.623
0.004 0.085 0.388
0.025 0.098 0.850
0.007 0.585 0.628
0.488 0.426 0.395
0.637 0.585 0.626
0.104 0.417 0.388
0.120 0.426 0.869
0.612 0.075 0.888
0.121 0.899 0.624
0.611 0.604 0.125
0.607 0.075 0.355
0.128 0.917 0.127
0.495 0.915 0.123


(6)
LiMn2TeO6 | the Materials Project | PBE+U | optimized geometry; ΔH_f (0 K) = -1.929 eV per atom; total magnetization = 0.900 μB/atom; calculated density = 4.87 g/cm3; crystal system = triclinic; calculated volume = 231.9 Å³/cell
1.0
-3.704 3.266 -1.426
0.275 -1.968 -4.787
-5.789 -6.134 2.189
Li O Mn Te
2 12 4 2
Direct
0.510 0.501 0.906
0.567 0.893 0.189
0.698 0.674 0.674
0.318 0.312 0.651
0.746 0.221 0.518
0.299 0.807 0.521
0.213 0.309 0.986
0.270 0.353 0.338
0.835 0.169 0.166
0.785 0.692 0.025
0.738 0.680 0.349
0.764 0.151 0.846
0.206 0.830 0.170
0.216 0.817 0.848
0.019 0.504 0.181
0.510 0.992 0.687
0.011 0.469 0.762
0.017 0.013 0.394
0.515 0.503 0.490
0.012 0.995 0.994


(7)
Li4Cr3FeO8 | the Materials Project | PBE+U | optimized geometry; ΔH_f (0 K) = -2.274 eV per atom; total magnetization = 0.875 μB/atom; calculated density = 4.21 g/cm3; crystal system = triclinic; calculated volume = 289.7 Å³/cell
1.0
5.123 0.000 0.000
2.532 7.359 0.000
0.853 0.903 7.683
O Fe Cr Li
16 2 6 8
Direct
0.224 0.788 0.661
0.222 0.034 0.911
0.773 0.839 0.467
0.224 0.915 0.279
0.776 0.085 0.721
0.225 0.664 0.029
0.778 0.966 0.089
0.226 0.537 0.406
0.223 0.283 0.156
0.777 0.717 0.844
0.227 0.411 0.783
0.774 0.463 0.594
0.773 0.589 0.217
0.775 0.336 0.971
0.227 0.161 0.533
0.776 0.212 0.339
0.000 0.124 0.124
0.000 0.876 0.876
0.000 0.000 0.500
0.000 0.500 0.000
0.000 0.248 0.753
0.000 0.752 0.247
0.000 0.374 0.374
0.000 0.626 0.626
0.504 0.436 0.188
0.502 0.936 0.689
0.498 0.064 0.311
0.502 0.686 0.437
0.498 0.814 0.060
0.496 0.564 0.812
0.502 0.186 0.940
0.498 0.314 0.563


(8)
LiVFeO4 | the Materials Project | PBE+U | optimized geometry; ΔH_f (0 K) = -2.178 eV per atom; total magnetization = 0.857 μB/atom; calculated density = 3.89 g/cm3; crystal system = orthorhombic; calculated volume = 151.6 Å³/cell
1.0
3.948 -2.092 4.003
1.311 5.587 1.746
-5.659 -1.988 0.044
O Fe V Li
8 2 2 2
Direct
0.269 0.290 0.521
0.724 0.256 0.468
0.269 0.747 0.979
0.731 0.710 0.479
0.288 0.256 0.032
0.276 0.744 0.532
0.731 0.253 0.021
0.712 0.744 0.968
0.500 0.500 0.000
0.000 0.500 0.500
0.500 0.500 0.500
0.500 0.000 0.000
0.131 0.881 0.250
0.869 0.119 0.750


(9)
Li4Nb3V5O16 | the Materials Project | PBE+U | optimized geometry; ΔH_f (0 K) = -2.630 eV per atom; total magnetization = 0.429 μB/atom; calculated density = 4.33 g/cm3; crystal system = monoclinic; calculated volume = 313.4 Å³/cell
1.0
-4.299 2.145 -3.697
1.333 -5.906 -0.019
-6.938 -1.588 6.817
V Li Nb O
5 4 3 16
Direct
0.170 0.341 0.213
0.321 0.661 0.486
0.658 0.329 0.994
0.170 0.828 0.213
0.345 0.173 0.711
0.017 0.008 0.995
0.333 0.667 0.898
0.018 0.009 0.495
0.669 0.335 0.387
0.822 0.173 0.714
0.661 0.831 0.215
0.822 0.649 0.714
0.994 0.997 0.313
0.964 0.482 0.850
0.328 0.164 0.103
0.831 0.159 0.103
0.526 0.037 0.844
0.673 0.836 0.601
0.037 0.518 0.334
0.995 0.997 0.811
0.155 0.823 0.599
0.672 0.336 0.587
0.481 0.959 0.341
0.155 0.332 0.599
0.481 0.522 0.341
0.831 0.672 0.103
0.347 0.673 0.100
0.526 0.489 0.844


(10)
Li9Mn2Co5O16 | the Materials Project | PBE+U | optimized geometry; ΔH_f (0 K) = -1.807 eV per atom; total magnetization = 0.313 μB/atom; calculated density = 4.15 g/cm3; crystal system = triclinic; calculated volume = 289.2 Å³/cell
1.0
-0.589 -1.989 2.096
-3.408 -6.130 -7.359
10.541 -0.328 1.351
O Li Mn Co
16 9 2 5
Direct
0.565 0.468 0.115
0.403 0.033 0.879
0.831 0.830 0.607
0.601 0.967 0.121
0.072 0.215 0.117
0.932 0.281 0.886
0.938 0.786 0.886
0.175 0.665 0.388
0.693 0.432 0.385
0.431 0.533 0.884
0.813 0.324 0.618
0.274 0.085 0.605
0.652 0.913 0.388
0.066 0.717 0.116
0.212 0.152 0.390
0.344 0.599 0.616
0.134 0.441 0.253
0.880 0.062 0.754
0.628 0.688 0.252
0.373 0.809 0.746
0.359 0.317 0.744
0.620 0.195 0.255
0.868 0.554 0.740
0.268 0.378 0.510
0.131 0.936 0.250
0.002 0.000 0.001
0.745 0.131 0.501
0.504 0.750 0.002
0.495 0.250 0.998
0.239 0.872 0.497
0.999 0.500 0.999
0.754 0.614 0.497


(11)
LiCoPt3O6 | the Materials Project | PBE+U | optimized geometry; ΔH_f (0 K) = -0.996 eV per atom; total magnetization = 0.181 μB/atom; calculated density = 9.94 g/cm3; crystal system = monoclinic; calculated volume = 124.9 Å³/cell
1.0
-0.618 0.480 -3.073
-0.204 -6.170 -0.923
-6.123 1.813 1.515
O Pt Li Co
6 3 1 1
Direct
0.000 0.954 0.689
0.000 0.674 0.922
0.500 0.663 0.393
0.000 0.349 0.104
0.500 0.351 0.604
0.000 0.066 0.330
0.000 0.012 0.011
0.500 0.008 0.506
0.500 0.511 0.017
0.500 0.698 0.712
0.000 0.443 0.442


(12)
Li3V3P8O29 | the Materials Project | PBE+U | optimized geometry; ΔH_f (0 K) = -2.522 eV per atom; total magnetization = 0.000 μB/atom; calculated density = 2.45 g/cm3; crystal system = triclinic; calculated volume = 1200.7 Å³/cell
1.0
-4.670 5.691 6.415
-5.076 -6.193 -5.618
1.442 -10.271 10.132
O V P Li
58 6 16 6
Direct
0.477 0.663 0.679
0.920 0.256 0.668
0.204 0.990 0.246
0.096 0.480 0.322
0.232 0.234 0.575
0.782 0.985 0.738
0.913 0.660 0.172
0.977 0.736 0.567
0.228 0.000 0.425
0.001 0.240 0.423
0.990 0.767 0.914
0.740 0.084 0.173
0.783 0.774 0.416
0.900 0.382 0.180
0.822 0.486 0.328
0.339 0.520 0.179
0.984 0.231 0.073
0.480 0.816 0.178
0.383 0.475 0.823
0.780 0.798 0.240
0.085 0.340 0.840
0.617 0.522 0.179
0.525 0.908 0.818
0.002 0.212 0.249
0.180 0.514 0.677
0.764 0.748 0.067
0.098 0.621 0.821
0.665 0.482 0.828
0.326 0.654 0.533
0.525 0.339 0.326
0.901 0.519 0.684
0.258 0.345 0.335
0.206 0.211 0.749
0.018 0.798 0.739
0.673 0.332 0.969
0.516 0.183 0.826
0.183 0.662 0.177
0.659 0.744 0.836
0.258 0.920 0.837
0.765 0.022 0.564
0.658 0.916 0.339
0.672 0.184 0.332
0.236 0.229 0.923
0.816 0.331 0.825
0.083 0.742 0.336
0.475 0.382 0.678
0.342 0.087 0.669
0.252 0.014 0.072
0.679 0.345 0.472
0.776 0.012 0.914
0.618 0.099 0.679
0.340 0.256 0.174
0.744 0.659 0.675
0.480 0.099 0.183
0.333 0.666 0.032
0.333 0.814 0.677
0.382 0.907 0.322
0.527 0.618 0.325
0.562 0.997 0.250
0.435 0.430 0.254
0.002 0.571 0.246
0.563 0.565 0.748
0.999 0.434 0.754
0.434 0.001 0.746
0.230 0.315 0.841
0.089 0.321 0.337
0.088 0.775 0.835
0.771 0.090 0.656
0.317 0.088 0.163
0.665 0.333 0.867
0.329 0.663 0.635
0.313 0.228 0.660
0.910 0.679 0.658
0.908 0.228 0.162
0.766 0.681 0.158
0.674 0.337 0.370
0.335 0.663 0.134
0.687 0.773 0.337
0.227 0.915 0.341
0.686 0.915 0.834
0.089 0.303 0.546
0.920 0.695 0.440
0.922 0.217 0.951
0.301 0.081 0.949
0.773 0.085 0.436
0.777 0.697 0.945